(1)
# Nd2Be2SiO7 | the Materials Project | GGA-PBE | relaxed
data_Nd2Be2SiO7
_cell_length_a 7.518
_cell_length_b 7.518
_cell_length_c 4.906
_cell_angle_alpha 90.00
_cell_angle_beta 90.00
_cell_angle_gamma 90.00
_space_group_name_H-M_alt 'P -4 21 m'
_space_group_IT_number 113
loop_
_space_group_symop_operation_xyz
'x,y,z'
'y,-x,-z'
'-x,-y,z'
'-y,x,-z'
'x+1/2,-y+1/2,-z'
'y+1/2,x+1/2,z'
'-x+1/2,y+1/2,-z'
'-y+1/2,-x+1/2,z'
loop_
_atom_site_label
_atom_site_type_symbol
_atom_site_fract_x
_atom_site_fract_y
_atom_site_fract_z
Nd1 Nd 0.161 0.339 0.494
Be1 Be 0.135 0.635 0.964
Si1 Si 0.000 0.000 0.000
O1 O 0.000 0.500 0.829
O2 O 0.077 0.836 0.810
O3 O 0.141 0.641 0.288
# uncorrected energy	-7.879	eV per atom
# maximum piezoelectric response	0.5	C/m²
# spin magnetization	0.0001	μB per atom
# formation enthalpy at 0 K	-3524	meV per atom

***

(2)
# Be2NiRh | the Materials Project | GGA-PBE | relaxed
data_Be2NiRh
_cell_length_a 5.401
_cell_length_b 5.401
_cell_length_c 5.401
_cell_angle_alpha 90.00
_cell_angle_beta 90.00
_cell_angle_gamma 90.00
_space_group_name_H-M_alt 'F m -3 m'
_space_group_IT_number 225
_space_group_name_Hall '-F 4 2 3'
loop_
_atom_site_label
_atom_site_type_symbol
_atom_site_fract_x
_atom_site_fract_y
_atom_site_fract_z
Be1 Be 0.250 0.250 0.250
Ni1 Ni 0.000 0.000 0.000
Rh1 Rh 0.000 0.000 0.500
# uncorrected energy	-5.748	eV per atom
# formation enthalpy at 0 K	-592	meV per atom

***

(3)
# Be4SiNi | the Materials Project | GGA-PBE | relaxed
data_Be4SiNi
_cell_length_a 5.940
_cell_length_b 5.940
_cell_length_c 5.940
_cell_angle_alpha 90.00
_cell_angle_beta 90.00
_cell_angle_gamma 90.00
_space_group_name_H-M_alt 'F -4 3 m'
_space_group_IT_number 216
_space_group_name_Hall 'F -4 2 3'
loop_
_atom_site_label
_atom_site_type_symbol
_atom_site_fract_x
_atom_site_fract_y
_atom_site_fract_z
Be1 Be 0.124 0.124 0.376
Si1 Si 0.000 0.000 0.000
Ni1 Ni 0.250 0.250 0.750
# uncorrected energy	-4.476	eV per atom
# spin magnetization	0.0000	μB per atom
# formation enthalpy at 0 K	-116	meV per atom

***

(4)
# Ta6Be15Ni8 | the Materials Project | GGA-PBE | relaxed
data_Ta6Be15Ni8
_cell_length_a 10.680
_cell_length_b 10.680
_cell_length_c 10.680
_cell_angle_alpha 90.00
_cell_angle_beta 90.00
_cell_angle_gamma 90.00
_space_group_name_H-M_alt 'F m -3 m'
_space_group_IT_number 225
_space_group_name_Hall '-F 4 2 3'
loop_
_atom_site_label
_atom_site_type_symbol
_atom_site_fract_x
_atom_site_fract_y
_atom_site_fract_z
Ta1 Ta 0.000 0.000 0.204
Be1 Be 0.000 0.000 0.500
Be2 Be 0.000 0.250 0.250
Be3 Be 0.173 0.173 0.173
Ni1 Ni 0.123 0.123 0.377
# uncorrected energy	-6.391	eV per atom
# formation enthalpy at 0 K	-409	meV per atom

***

(5)
# Zr6Be15Ni8 | the Materials Project | GGA-PBE | relaxed
data_Zr6Be15Ni8
_cell_length_a 11.104
_cell_length_b 11.104
_cell_length_c 11.104
_cell_angle_alpha 90.00
_cell_angle_beta 90.00
_cell_angle_gamma 90.00
_space_group_name_H-M_alt 'F m -3 m'
_space_group_IT_number 225
_space_group_name_Hall '-F 4 2 3'
loop_
_atom_site_label
_atom_site_type_symbol
_atom_site_fract_x
_atom_site_fract_y
_atom_site_fract_z
Zr1 Zr 0.000 0.000 0.209
Be1 Be 0.000 0.000 0.500
Be2 Be 0.000 0.250 0.250
Be3 Be 0.178 0.178 0.178
Ni1 Ni 0.124 0.124 0.376
# uncorrected energy	-5.685	eV per atom
# formation enthalpy at 0 K	-387	meV per atom

***

(6)
# NpBe13 | the Materials Project | GGA-PBE | relaxed
data_NpBe13
_cell_length_a 10.188
_cell_length_b 10.188
_cell_length_c 10.188
_cell_angle_alpha 90.00
_cell_angle_beta 90.00
_cell_angle_gamma 90.00
_space_group_name_H-M_alt 'F m -3 c'
_space_group_IT_number 226
_space_group_name_Hall '-F 4a 2 3'
loop_
_atom_site_label
_atom_site_type_symbol
_atom_site_fract_x
_atom_site_fract_y
_atom_site_fract_z
Np1 Np 0.250 0.250 0.250
Be1 Be 0.000 0.000 0.000
Be2 Be 0.000 0.115 0.176
# uncorrected energy	-4.461	eV per atom
# formation enthalpy at 0 K	-64	meV per atom

***

What did the fifth record say?
# Zr6Be15Ni8 | the Materials Project | GGA-PBE | relaxed
data_Zr6Be15Ni8
_cell_length_a 11.104
_cell_length_b 11.104
_cell_length_c 11.104
_cell_angle_alpha 90.00
_cell_angle_beta 90.00
_cell_angle_gamma 90.00
_space_group_name_H-M_alt 'F m -3 m'
_space_group_IT_number 225
_space_group_name_Hall '-F 4 2 3'
loop_
_atom_site_label
_atom_site_type_symbol
_atom_site_fract_x
_atom_site_fract_y
_atom_site_fract_z
Zr1 Zr 0.000 0.000 0.209
Be1 Be 0.000 0.000 0.500
Be2 Be 0.000 0.250 0.250
Be3 Be 0.178 0.178 0.178
Ni1 Ni 0.124 0.124 0.376
# uncorrected energy	-5.685	eV per atom
# formation enthalpy at 0 K	-387	meV per atom

***

Question: Among the records above, which one has the lowest formation enthalpy at 0 K?
Answer: Nd2Be2SiO7